1.
First-principles (r2SCAN) data for an optimized crystal structure of NbClF8, as listed in the Materials Project database.

Values from the calculation:
SG = Pcca
calculated total energy = -7.74 eV/atom
calculated volume = 15.1 Å³/atom

CIF file:
```
data_NbClF8
_chemical_formula_sum 'Nb4 Cl4 F32'
_symmetry_space_group_name_H-M 'P 1'
_symmetry_Int_Tables_number 1
_cell_length_a 5.8667
_cell_length_b 9.8229
_cell_length_c 10.4535
_cell_angle_alpha 90.00
_cell_angle_beta 90.00
_cell_angle_gamma 90.00
loop_
_symmetry_equiv_pos_as_xyz
'x,y,z'
loop_
_atom_site_label
_atom_site_fract_x
_atom_site_fract_y
_atom_site_fract_z
F1 0.1118 0.1501 0.5650
F2 0.8882 0.3499 0.5650
F3 0.3614 0.4036 0.5925
Nb1 0.3934 0.0000 0.2500
F4 0.8882 0.1501 0.0650
F5 0.1406 0.3810 0.8167
F6 0.6149 0.1217 0.3126
F7 0.8594 0.6190 0.1833
Nb2 0.6066 0.5000 0.2500
F8 0.8594 0.8810 0.6833
Cl1 0.0000 0.2500 0.4607
F9 0.1406 0.1190 0.3167
F10 0.6149 0.3783 0.8126
Cl2 0.0000 0.7500 0.0393
F11 0.1118 0.3499 0.0650
Cl3 0.0000 0.2500 0.9607
F12 0.1118 0.6501 0.4350
F13 0.3851 0.3783 0.3126
F14 0.6149 0.6217 0.6874
F15 0.1406 0.6190 0.6833
F16 0.1406 0.8810 0.1833
F17 0.8594 0.1190 0.8167
Nb3 0.3934 0.5000 0.7500
Cl4 0.0000 0.7500 0.5393
F18 0.8882 0.8499 0.4350
F19 0.6386 0.4036 0.0925
F20 0.6386 0.0964 0.5925
F21 0.6386 0.9036 0.9075
F22 0.6386 0.5964 0.4075
F23 0.3614 0.9036 0.4075
Nb4 0.6066 0.0000 0.7500
F24 0.3614 0.5964 0.9075
F25 0.6149 0.8783 0.1874
F26 0.3614 0.0964 0.0925
F27 0.8882 0.6501 0.9350
F28 0.3851 0.1217 0.8126
F29 0.8594 0.3810 0.3167
F30 0.3851 0.6217 0.1874
F31 0.3851 0.8783 0.6874
F32 0.1118 0.8499 0.9350
```


2.
First-principles (r2SCAN) data for an optimized crystal structure of TmFeO3, as listed in the Materials Project database.

Values from the calculation:
SG = P6_3cm
calculated total energy = -16.33 eV/atom
calculated volume = 12.1 Å³/atom

CIF file:
```
data_TmFeO3
_chemical_formula_sum 'Tm6 Fe6 O18'
_symmetry_space_group_name_H-M 'P 1'
_symmetry_Int_Tables_number 1
_cell_length_a 6.0097
_cell_length_b 6.0097
_cell_length_c 11.6169
_cell_angle_alpha 90.00
_cell_angle_beta 90.00
_cell_angle_gamma 120.00
loop_
_symmetry_equiv_pos_as_xyz
'x,y,z'
loop_
_atom_site_label
_atom_site_fract_x
_atom_site_fract_y
_atom_site_fract_z
O1 0.3629 0.0000 0.8366
O2 0.3333 0.6667 0.0235
O3 0.0000 0.3629 0.8366
O4 0.3038 0.0000 0.1668
Tm1 0.0000 0.0000 0.2767
Tm2 0.3333 0.6667 0.7318
Tm3 0.0000 0.0000 0.7767
O5 0.6667 0.3333 0.5235
Tm4 0.6667 0.3333 0.2318
Fe1 0.6660 0.0000 0.5005
O6 0.0000 0.0000 0.9749
Fe2 0.3340 0.0000 0.0005
O7 0.6962 0.0000 0.6668
O8 0.3629 0.3629 0.3366
Tm5 0.3333 0.6667 0.2318
O9 0.3038 0.3038 0.6668
Fe3 0.0000 0.6660 0.5005
Tm6 0.6667 0.3333 0.7318
O10 0.3333 0.6667 0.5235
O11 0.6962 0.6962 0.1668
Fe4 0.3340 0.3340 0.5005
Fe5 0.0000 0.3340 0.0005
O12 0.0000 0.6371 0.3366
O13 0.6371 0.6371 0.8366
O14 0.0000 0.3038 0.1668
O15 0.0000 0.0000 0.4749
O16 0.0000 0.6962 0.6668
Fe6 0.6660 0.6660 0.0005
O17 0.6371 0.0000 0.3366
O18 0.6667 0.3333 0.0235
```